[1]
Density functional theory data (GGA+U) for a relaxed Mn6OF11 crystal.

abc: 4.967 5.883 16.218
angles: 89.61 90.00 90.00
Sites, in units of the cell vectors:
Mn (0.015, 0.085, 0.243)
Mn (0.016, 0.397, 0.082)
Mn (0.979, 0.060, 0.913)
Mn (0.003, 0.078, 0.585)
Mn (0.999, 0.417, 0.416)
Mn (0.997, 0.421, 0.752)
Mn (0.503, 0.922, 0.415)
Mn (0.515, 0.915, 0.757)
Mn (0.479, 0.940, 0.087)
Mn (0.516, 0.603, 0.918)
Mn (0.497, 0.579, 0.248)
Mn (0.499, 0.583, 0.584)
O (0.212, 0.165, 0.133)
O (0.712, 0.835, 0.867)
F (0.231, 0.143, 0.474)
F (0.213, 0.134, 0.808)
F (0.248, 0.378, 0.970)
F (0.235, 0.355, 0.308)
F (0.226, 0.359, 0.642)
F (0.279, 0.857, 0.974)
F (0.257, 0.643, 0.136)
F (0.268, 0.854, 0.305)
F (0.269, 0.647, 0.474)
F (0.279, 0.859, 0.646)
F (0.273, 0.631, 0.813)
F (0.748, 0.622, 0.030)
F (0.713, 0.866, 0.192)
F (0.726, 0.641, 0.358)
F (0.735, 0.645, 0.692)
F (0.731, 0.857, 0.526)
F (0.779, 0.143, 0.026)
F (0.779, 0.141, 0.354)
F (0.773, 0.369, 0.187)
F (0.757, 0.357, 0.864)
F (0.768, 0.146, 0.695)
F (0.769, 0.353, 0.526)

Computed properties:
The electronic total energy is -6.45 eV/atom.


[2]
Density functional theory data (GGA+U) for a relaxed Mn12O5F19 crystal.

abc: 4.813 5.831 16.134
angles: 90.20 90.10 92.46
Sites, in units of the cell vectors:
Mn (0.005, 0.170, 0.587)
Mn (0.975, 0.834, 0.760)
Mn (0.002, 0.158, 0.918)
Mn (0.995, 0.171, 0.260)
Mn (0.991, 0.853, 0.417)
Mn (0.996, 0.840, 0.087)
Mn (0.508, 0.320, 0.407)
Mn (0.472, 0.335, 0.074)
Mn (0.483, 0.335, 0.743)
Mn (0.504, 0.656, 0.916)
Mn (0.476, 0.645, 0.583)
Mn (0.488, 0.641, 0.251)
O (0.787, 0.121, 0.361)
O (0.777, 0.887, 0.872)
O (0.274, 0.391, 0.962)
O (0.275, 0.402, 0.633)
O (0.287, 0.367, 0.307)
F (0.777, 0.110, 0.695)
F (0.790, 0.124, 0.027)
F (0.754, 0.879, 0.533)
F (0.764, 0.897, 0.200)
F (0.746, 0.391, 0.853)
F (0.730, 0.617, 0.685)
F (0.721, 0.382, 0.517)
F (0.740, 0.613, 0.358)
F (0.732, 0.390, 0.186)
F (0.721, 0.618, 0.023)
F (0.292, 0.626, 0.807)
F (0.276, 0.610, 0.470)
F (0.270, 0.612, 0.138)
F (0.223, 0.115, 0.811)
F (0.240, 0.105, 0.478)
F (0.229, 0.886, 0.645)
F (0.252, 0.899, 0.979)
F (0.214, 0.121, 0.150)
F (0.232, 0.877, 0.307)

Computed properties:
The electronic total energy is -6.51 eV/atom.


[3]
Density functional theory data (GGA+U) for a relaxed Mn8O13F3 crystal.

abc: 4.491 5.499 9.956
angles: 90.03 90.06 90.93
Sites, in units of the cell vectors:
Mn (0.997, 0.160, 0.372)
Mn (0.006, 0.851, 0.625)
Mn (0.006, 0.161, 0.874)
Mn (0.984, 0.862, 0.121)
Mn (0.506, 0.338, 0.123)
Mn (0.502, 0.351, 0.626)
Mn (0.479, 0.637, 0.880)
Mn (0.532, 0.637, 0.377)
O (0.776, 0.111, 0.539)
O (0.770, 0.113, 0.035)
O (0.773, 0.885, 0.290)
O (0.726, 0.392, 0.792)
O (0.742, 0.605, 0.539)
O (0.733, 0.388, 0.287)
O (0.720, 0.614, 0.041)
O (0.260, 0.388, 0.965)
O (0.270, 0.608, 0.712)
O (0.277, 0.391, 0.460)
O (0.233, 0.114, 0.712)
O (0.218, 0.885, 0.958)
O (0.227, 0.114, 0.208)
F (0.739, 0.887, 0.797)
F (0.261, 0.622, 0.214)
F (0.264, 0.886, 0.451)

Computed properties:
The electronic total energy is -6.94 eV/atom.


[4]
Density functional theory data (GGA+U) for a relaxed Mn6O7F5 crystal.

abc: 4.608 5.639 15.302
angles: 89.76 89.57 88.87
Sites, in units of the cell vectors:
Mn (0.027, 0.167, 0.413)
Mn (0.997, 0.845, 0.242)
Mn (0.006, 0.156, 0.075)
Mn (0.016, 0.166, 0.749)
Mn (0.039, 0.851, 0.583)
Mn (0.048, 0.844, 0.912)
Mn (0.485, 0.348, 0.590)
Mn (0.485, 0.355, 0.924)
Mn (0.508, 0.346, 0.258)
Mn (0.500, 0.652, 0.087)
Mn (0.494, 0.644, 0.422)
Mn (0.486, 0.630, 0.751)
O (0.219, 0.110, 0.302)
O (0.221, 0.114, 0.638)
O (0.235, 0.117, 0.968)
O (0.217, 0.887, 0.132)
O (0.232, 0.893, 0.471)
O (0.238, 0.882, 0.803)
O (0.283, 0.399, 0.482)
O (0.277, 0.609, 0.645)
O (0.279, 0.396, 0.813)
O (0.276, 0.611, 0.977)
O (0.720, 0.382, 0.027)
O (0.714, 0.616, 0.196)
O (0.727, 0.386, 0.364)
O (0.719, 0.380, 0.695)
F (0.255, 0.380, 0.152)
F (0.237, 0.610, 0.312)
F (0.760, 0.620, 0.535)
F (0.740, 0.620, 0.858)
F (0.751, 0.116, 0.180)
F (0.760, 0.123, 0.527)
F (0.749, 0.877, 0.357)
F (0.774, 0.873, 0.012)
F (0.764, 0.123, 0.860)
F (0.758, 0.871, 0.692)

Computed properties:
The electronic total energy is -6.76 eV/atom.


[5]
Density functional theory data (GGA+U) for a relaxed Mn6O7F5 crystal.

abc: 4.630 7.764 5.598
angles: 92.93 89.04 90.59
Sites, in units of the cell vectors:
Mn (0.466, 0.011, 0.484)
Mn (0.516, 0.666, 0.160)
Mn (0.523, 0.335, 0.827)
Mn (0.993, 0.676, 0.673)
Mn (0.967, 0.324, 0.347)
Mn (0.009, 0.983, 0.009)
O (0.806, 0.451, 0.634)
O (0.812, 0.767, 0.967)
O (0.802, 0.091, 0.290)
O (0.695, 0.433, 0.129)
O (0.307, 0.238, 0.535)
O (0.305, 0.891, 0.199)
O (0.200, 0.898, 0.709)
F (0.712, 0.091, 0.798)
F (0.687, 0.780, 0.471)
F (0.297, 0.566, 0.869)
F (0.197, 0.573, 0.371)
F (0.204, 0.225, 0.028)

Computed properties:
The electronic total energy is -6.77 eV/atom.


[6]
Density functional theory data (GGA+U) for a relaxed Mn6OF11 crystal.

abc: 4.911 4.911 9.977
angles: 90.00 90.00 91.40
Sites, in units of the cell vectors:
Mn (0.011, 0.011, 0.656)
Mn (0.011, 0.011, 0.344)
Mn (0.000, 0.000, 0.000)
Mn (0.504, 0.504, 0.831)
Mn (0.477, 0.477, 0.500)
Mn (0.504, 0.504, 0.169)
O (0.202, 0.202, 0.500)
F (0.197, 0.197, 0.167)
F (0.197, 0.197, 0.833)
F (0.690, 0.302, 0.663)
F (0.690, 0.302, 0.337)
F (0.698, 0.309, 0.000)
F (0.302, 0.690, 0.663)
F (0.302, 0.690, 0.337)
F (0.309, 0.698, 0.000)
F (0.783, 0.783, 0.500)
F (0.812, 0.812, 0.175)
F (0.812, 0.812, 0.825)

Computed properties:
The electronic total energy is -6.46 eV/atom.


[7]
Density functional theory data (GGA+U) for a relaxed Mn3O5F crystal.

abc: 4.555 4.557 9.029
angles: 90.00 90.00 90.00
Sites, in units of the cell vectors:
Mn (0.010, 0.746, 0.674)
Mn (0.980, 0.730, 0.000)
Mn (0.010, 0.746, 0.326)
Mn (0.480, 0.270, 0.500)
Mn (0.510, 0.254, 0.826)
Mn (0.510, 0.254, 0.174)
O (0.196, 0.554, 0.836)
O (0.196, 0.554, 0.164)
O (0.189, 0.562, 0.500)
O (0.696, 0.446, 0.664)
O (0.689, 0.438, 0.000)
O (0.696, 0.446, 0.336)
O (0.308, 0.059, 0.665)
O (0.308, 0.059, 0.335)
O (0.808, 0.941, 0.835)
O (0.808, 0.941, 0.165)
F (0.301, 0.050, 0.000)
F (0.801, 0.950, 0.500)

Computed properties:
The electronic total energy is -6.97 eV/atom.


[8]
Density functional theory data (GGA+U) for a relaxed Mn12O5F19 crystal.

abc: 4.877 5.841 15.909
angles: 89.48 89.96 87.50
Sites, in units of the cell vectors:
Mn (0.984, 0.167, 0.415)
Mn (0.018, 0.838, 0.238)
Mn (0.995, 0.163, 0.079)
Mn (0.049, 0.196, 0.756)
Mn (0.011, 0.818, 0.591)
Mn (0.988, 0.838, 0.915)
Mn (0.491, 0.342, 0.586)
Mn (0.508, 0.354, 0.920)
Mn (0.512, 0.331, 0.257)
Mn (0.489, 0.655, 0.084)
Mn (0.516, 0.650, 0.413)
Mn (0.486, 0.639, 0.749)
O (0.223, 0.885, 0.130)
O (0.285, 0.593, 0.647)
O (0.306, 0.406, 0.813)
O (0.709, 0.392, 0.027)
O (0.717, 0.398, 0.367)
F (0.220, 0.111, 0.305)
F (0.231, 0.097, 0.639)
F (0.220, 0.122, 0.969)
F (0.240, 0.882, 0.468)
F (0.236, 0.898, 0.809)
F (0.259, 0.391, 0.145)
F (0.269, 0.620, 0.309)
F (0.262, 0.392, 0.476)
F (0.266, 0.611, 0.974)
F (0.720, 0.616, 0.193)
F (0.732, 0.614, 0.525)
F (0.726, 0.624, 0.853)
F (0.755, 0.371, 0.688)
F (0.773, 0.115, 0.189)
F (0.766, 0.105, 0.531)
F (0.772, 0.888, 0.353)
F (0.746, 0.889, 0.025)
F (0.771, 0.129, 0.862)
F (0.747, 0.861, 0.699)

Computed properties:
The electronic total energy is -6.51 eV/atom.


[9]
Density functional theory data (GGA+U) for a relaxed Mn3O5F crystal.

abc: 4.545 4.545 9.024
angles: 90.00 90.00 92.04
Sites, in units of the cell vectors:
Mn (0.993, 0.007, 0.660)
Mn (0.993, 0.007, 0.340)
Mn (0.984, 0.016, 0.000)
Mn (0.517, 0.483, 0.832)
Mn (0.493, 0.507, 0.500)
Mn (0.517, 0.483, 0.168)
O (0.803, 0.197, 0.500)
O (0.805, 0.195, 0.172)
O (0.805, 0.195, 0.828)
O (0.305, 0.306, 0.666)
O (0.305, 0.306, 0.334)
O (0.307, 0.303, 0.000)
O (0.694, 0.695, 0.666)
O (0.694, 0.695, 0.334)
O (0.697, 0.693, 0.000)
O (0.191, 0.809, 0.500)
F (0.199, 0.801, 0.169)
F (0.199, 0.801, 0.831)

Computed properties:
The electronic total energy is -6.97 eV/atom.


[10]
Density functional theory data (GGA+U) for a relaxed Mn6O7F5 crystal.

abc: 4.684 5.623 7.722
angles: 86.26 89.80 88.52
Sites, in units of the cell vectors:
Mn (0.496, 0.496, 0.999)
Mn (0.487, 0.842, 0.665)
Mn (0.531, 0.167, 0.344)
Mn (0.023, 0.321, 0.662)
Mn (0.953, 0.663, 0.328)
Mn (0.009, 0.003, 0.004)
O (0.805, 0.363, 0.439)
O (0.807, 0.705, 0.104)
O (0.691, 0.205, 0.111)
O (0.694, 0.876, 0.439)
O (0.317, 0.131, 0.562)
O (0.303, 0.791, 0.891)
O (0.190, 0.295, 0.894)
F (0.801, 0.035, 0.768)
F (0.704, 0.541, 0.750)
F (0.296, 0.460, 0.249)
F (0.180, 0.641, 0.546)
F (0.213, 0.964, 0.245)

Computed properties:
The electronic total energy is -6.77 eV/atom.


[11]
Density functional theory data (GGA+U) for a relaxed Mn3O5F crystal.

abc: 5.458 5.458 7.249
angles: 71.26 71.26 70.66
Sites, in units of the cell vectors:
Mn (0.670, 0.670, 0.840)
Mn (0.348, 0.348, 0.673)
Mn (0.652, 0.652, 0.327)
Mn (0.330, 0.330, 0.160)
Mn (0.000, 0.000, 0.500)
Mn (0.000, 0.000, 0.000)
O (0.640, 0.030, 0.669)
O (0.970, 0.360, 0.331)
O (0.569, 0.569, 0.624)
O (0.235, 0.235, 0.961)
O (0.765, 0.765, 0.039)
O (0.431, 0.431, 0.376)
O (0.360, 0.970, 0.331)
O (0.030, 0.640, 0.669)
O (0.694, 0.306, 0.000)
O (0.306, 0.694, 0.000)
F (0.880, 0.880, 0.305)
F (0.120, 0.120, 0.695)

Computed properties:
The electronic total energy is -6.96 eV/atom.


[12]
Density functional theory data (GGA+U) for a relaxed Mn6O7F5 crystal.

abc: 4.674 5.690 15.195
angles: 89.73 89.87 85.61
Sites, in units of the cell vectors:
Mn (0.982, 0.831, 0.422)
Mn (0.974, 0.146, 0.245)
Mn (0.013, 0.851, 0.084)
Mn (0.980, 0.832, 0.748)
Mn (0.979, 0.158, 0.583)
Mn (0.967, 0.144, 0.912)
Mn (0.532, 0.658, 0.590)
Mn (0.533, 0.658, 0.923)
Mn (0.467, 0.648, 0.255)
Mn (0.518, 0.351, 0.078)
Mn (0.522, 0.360, 0.416)
Mn (0.513, 0.369, 0.752)
O (0.789, 0.889, 0.638)
O (0.794, 0.891, 0.972)
O (0.771, 0.115, 0.135)
O (0.775, 0.113, 0.473)
O (0.763, 0.112, 0.805)
O (0.716, 0.386, 0.304)
O (0.728, 0.608, 0.480)
O (0.730, 0.392, 0.645)
O (0.715, 0.603, 0.811)
O (0.740, 0.385, 0.973)
O (0.295, 0.623, 0.027)
O (0.260, 0.604, 0.364)
O (0.282, 0.622, 0.693)
O (0.217, 0.885, 0.195)
F (0.744, 0.886, 0.310)
F (0.726, 0.620, 0.150)
F (0.264, 0.378, 0.183)
F (0.270, 0.377, 0.526)
F (0.252, 0.370, 0.857)
F (0.258, 0.887, 0.531)
F (0.215, 0.108, 0.357)
F (0.235, 0.126, 0.011)
F (0.234, 0.875, 0.857)
F (0.245, 0.138, 0.692)

Computed properties:
The electronic total energy is -6.78 eV/atom.